No. 1
CuF2 | PBE-GGA | relaxed

As for the energy of formation: -1706 meV/atom. The calculation puts the electronic total energy at -24.25 eV for the cell shown.

a = 3.733 Å, b = 3.733 Å, c = 11.934 Å
α = 90.00°, β = 90.00°, γ = 90.00°
Space group I4/mmm (No. 139)
One atom of each set of equivalent atoms:
Cu: 0.000 0.000 0.000 [2 per cell]
F: 0.000 0.500 0.000 [4 per cell]

***

No. 2
Tb2ReC2 | PBE-GGA | relaxed

As for the energy of formation: -404 meV/atom. The calculation puts the electronic total energy at -168.75 eV for the cell shown.

a = 6.592 Å, b = 5.156 Å, c = 9.905 Å
α = 90.00°, β = 90.00°, γ = 90.00°
Space group Pnma (No. 62)
One atom of each set of equivalent atoms:
Tb: 0.030 0.250 0.216 [4 per cell]
Tb: 0.182 0.250 0.555 [4 per cell]
Re: 0.223 0.250 0.865 [4 per cell]
C: 0.043 0.750 0.241 [4 per cell]
C: 0.178 0.750 0.548 [4 per cell]

***

No. 3
Na6Ti2Si5Ge2SO24 | PBE-GGA | relaxed

As for the energy of formation: -2710 meV/atom. The calculation puts the electronic total energy at -824.73 eV for the cell shown.

a = 8.818 Å, b = 8.821 Å, c = 21.825 Å
α = 90.56°, β = 90.11°, γ = 119.96°
Space group P1 (No. 1)
One atom of each set of equivalent atoms:
Na: 0.000 0.000 0.000 [1 per cell]
Na: 0.000 0.265 0.503 [1 per cell]
Na: 0.007 0.647 0.750 [1 per cell]
Na: 0.033 0.964 0.336 [1 per cell]
Na: 0.035 0.331 0.837 [1 per cell]
Na: 0.297 0.965 0.836 [1 per cell]
Na: 0.301 0.601 0.337 [1 per cell]
Na: 0.333 0.935 0.170 [1 per cell]
Na: 0.334 0.301 0.420 [1 per cell]
Na: 0.337 0.306 0.921 [1 per cell]
Na: 0.370 0.000 0.503 [1 per cell]
Na: 0.633 0.636 0.503 [1 per cell]
Na: 0.662 0.953 0.589 [1 per cell]
Na: 0.669 0.601 0.836 [1 per cell]
Na: 0.670 0.334 0.336 [1 per cell]
Na: 0.672 0.978 0.087 [1 per cell]
Na: 0.699 0.298 0.669 [1 per cell]
Na: 0.987 0.627 0.252 [1 per cell]
Ti: 0.013 0.634 0.897 [1 per cell]
Ti: 0.322 0.277 0.066 [1 per cell]
Ti: 0.342 0.293 0.772 [1 per cell]
Ti: 0.662 0.976 0.940 [1 per cell]
Ti: 0.682 0.979 0.234 [1 per cell]
Ti: 0.995 0.623 0.109 [1 per cell]
Si: 0.000 0.924 0.503 [1 per cell]
Si: 0.003 0.343 0.003 [1 per cell]
Si: 0.040 0.008 0.172 [1 per cell]
Si: 0.285 0.632 0.504 [1 per cell]
Si: 0.294 0.916 0.005 [1 per cell]
Si: 0.331 0.001 0.667 [1 per cell]
Si: 0.379 0.962 0.337 [1 per cell]
Si: 0.383 0.678 0.836 [1 per cell]
Si: 0.624 0.302 0.172 [1 per cell]
Si: 0.628 0.596 0.668 [1 per cell]
Si: 0.667 0.678 0.337 [1 per cell]
Si: 0.670 0.252 0.832 [1 per cell]
Si: 0.720 0.349 0.503 [1 per cell]
Si: 0.949 0.966 0.835 [1 per cell]
Si: 0.961 0.259 0.339 [1 per cell]
Ge: 0.000 0.651 0.603 [1 per cell]
Ge: 0.003 0.635 0.400 [1 per cell]
Ge: 0.340 0.290 0.276 [1 per cell]
Ge: 0.349 0.305 0.565 [1 per cell]
Ge: 0.647 0.945 0.734 [1 per cell]
Ge: 0.668 0.966 0.440 [1 per cell]
S: 0.047 0.300 0.669 [1 per cell]
S: 0.334 0.584 0.171 [1 per cell]
S: 0.709 0.630 0.003 [1 per cell]
O: 0.024 0.461 0.942 [1 per cell]
O: 0.029 0.458 0.666 [1 per cell]
O: 0.033 0.821 0.166 [1 per cell]
O: 0.049 0.844 0.442 [1 per cell]
O: 0.129 0.275 0.612 [1 per cell]
O: 0.130 0.126 0.110 [1 per cell]
O: 0.145 0.139 0.828 [1 per cell]
O: 0.151 0.320 0.724 [1 per cell]
O: 0.154 0.809 0.662 [1 per cell]
O: 0.156 0.281 0.329 [1 per cell]
O: 0.163 0.587 0.442 [1 per cell]
O: 0.166 0.832 0.944 [1 per cell]
O: 0.172 0.102 0.231 [1 per cell]
O: 0.176 0.120 0.512 [1 per cell]
O: 0.176 0.606 0.167 [1 per cell]
O: 0.179 0.327 0.008 [1 per cell]
O: 0.183 0.788 0.343 [1 per cell]
O: 0.187 0.657 0.842 [1 per cell]
O: 0.194 0.803 0.065 [1 per cell]
O: 0.195 0.677 0.561 [1 per cell]
O: 0.304 0.095 0.728 [1 per cell]
O: 0.305 0.455 0.511 [1 per cell]
O: 0.308 0.111 0.008 [1 per cell]
O: 0.308 0.483 0.228 [1 per cell]
O: 0.354 0.497 0.116 [1 per cell]
O: 0.355 0.482 0.828 [1 per cell]
O: 0.359 0.139 0.334 [1 per cell]
O: 0.373 0.134 0.608 [1 per cell]
O: 0.453 0.807 0.777 [1 per cell]
O: 0.460 0.924 0.277 [1 per cell]
O: 0.481 0.807 0.498 [1 per cell]
O: 0.485 0.935 0.999 [1 per cell]
O: 0.489 0.483 0.330 [1 per cell]
O: 0.489 0.761 0.174 [1 per cell]
O: 0.492 0.272 0.114 [1 per cell]
O: 0.495 0.272 0.830 [1 per cell]
O: 0.505 0.505 0.607 [1 per cell]
O: 0.507 0.008 0.398 [1 per cell]
O: 0.512 0.766 0.894 [1 per cell]
O: 0.517 0.999 0.674 [1 per cell]
O: 0.521 0.326 0.508 [1 per cell]
O: 0.533 0.474 0.009 [1 per cell]
O: 0.535 0.467 0.727 [1 per cell]
O: 0.538 0.335 0.234 [1 per cell]
O: 0.622 0.758 0.399 [1 per cell]
O: 0.626 0.125 0.892 [1 per cell]
O: 0.628 0.119 0.175 [1 per cell]
O: 0.645 0.789 0.675 [1 per cell]
O: 0.696 0.152 0.497 [1 per cell]
O: 0.699 0.791 0.000 [1 per cell]
O: 0.707 0.810 0.280 [1 per cell]
O: 0.711 0.166 0.772 [1 per cell]
O: 0.786 0.603 0.946 [1 per cell]
O: 0.799 0.474 0.443 [1 per cell]
O: 0.816 0.598 0.662 [1 per cell]
O: 0.816 0.923 0.777 [1 per cell]
O: 0.817 0.474 0.165 [1 per cell]
O: 0.823 0.659 0.057 [1 per cell]
O: 0.825 0.943 0.496 [1 per cell]
O: 0.829 0.171 0.280 [1 per cell]
O: 0.834 0.145 0.999 [1 per cell]
O: 0.837 0.447 0.840 [1 per cell]
O: 0.842 0.657 0.343 [1 per cell]
O: 0.845 0.433 0.564 [1 per cell]
O: 0.848 0.989 0.175 [1 per cell]
O: 0.870 0.143 0.671 [1 per cell]
O: 0.871 0.005 0.897 [1 per cell]
O: 0.878 0.130 0.398 [1 per cell]
O: 0.946 0.792 0.560 [1 per cell]
O: 0.971 0.792 0.841 [1 per cell]
O: 0.972 0.442 0.061 [1 per cell]
O: 0.975 0.451 0.344 [1 per cell]

***

No. 4
K2NaCa2TiSi7O20 | PBE-GGA | relaxed

As for the energy of formation: -3146 meV/atom. As for the energy above the most stable polymorph in this dataset: 0 meV per atom. The calculation puts the electronic total energy at -484.95 eV for the cell shown.

a = 7.163 Å, b = 10.499 Å, c = 12.341 Å
α = 93.10°, β = 90.94°, γ = 99.17°
Space group P1 (No. 1)
One atom of each set of equivalent atoms:
K: 0.000 0.000 0.000 [1 per cell]
K: 0.015 0.214 0.559 [1 per cell]
K: 0.476 0.098 0.249 [1 per cell]
K: 0.564 0.327 0.797 [1 per cell]
Na: 0.136 0.673 0.792 [1 per cell]
Na: 0.362 0.641 0.016 [1 per cell]
Ca: 0.157 0.781 0.484 [1 per cell]
Ca: 0.341 0.532 0.324 [1 per cell]
Ca: 0.660 0.778 0.495 [1 per cell]
Ca: 0.838 0.536 0.313 [1 per cell]
Ti: 0.653 0.670 0.803 [1 per cell]
Ti: 0.846 0.647 0.008 [1 per cell]
Si: 0.017 0.260 0.254 [1 per cell]
Si: 0.032 0.379 0.914 [1 per cell]
Si: 0.172 0.784 0.205 [1 per cell]
Si: 0.177 0.967 0.714 [1 per cell]
Si: 0.318 0.347 0.092 [1 per cell]
Si: 0.325 0.532 0.603 [1 per cell]
Si: 0.470 0.937 0.895 [1 per cell]
Si: 0.479 0.054 0.554 [1 per cell]
Si: 0.552 0.342 0.489 [1 per cell]
Si: 0.619 0.788 0.213 [1 per cell]
Si: 0.748 0.343 0.087 [1 per cell]
Si: 0.751 0.974 0.724 [1 per cell]
Si: 0.877 0.528 0.597 [1 per cell]
Si: 0.945 0.973 0.319 [1 per cell]
O: 0.020 0.336 0.785 [1 per cell]
O: 0.042 0.535 0.931 [1 per cell]
O: 0.056 0.390 0.330 [1 per cell]
O: 0.078 0.735 0.087 [1 per cell]
O: 0.094 0.501 0.618 [1 per cell]
O: 0.114 0.928 0.241 [1 per cell]
O: 0.124 0.687 0.302 [1 per cell]
O: 0.149 0.823 0.665 [1 per cell]
O: 0.190 0.240 0.168 [1 per cell]
O: 0.218 0.329 0.968 [1 per cell]
O: 0.286 0.985 0.836 [1 per cell]
O: 0.302 0.072 0.636 [1 per cell]
O: 0.338 0.490 0.143 [1 per cell]
O: 0.373 0.630 0.506 [1 per cell]
O: 0.380 0.387 0.564 [1 per cell]
O: 0.403 0.816 0.191 [1 per cell]
O: 0.422 0.581 0.720 [1 per cell]
O: 0.443 0.924 0.478 [1 per cell]
O: 0.460 0.782 0.880 [1 per cell]
O: 0.464 0.985 0.023 [1 per cell]
O: 0.510 0.182 0.481 [1 per cell]
O: 0.519 0.292 0.075 [1 per cell]
O: 0.563 0.399 0.372 [1 per cell]
O: 0.625 0.689 0.309 [1 per cell]
O: 0.631 0.559 0.917 [1 per cell]
O: 0.666 0.013 0.843 [1 per cell]
O: 0.672 0.065 0.633 [1 per cell]
O: 0.691 0.822 0.691 [1 per cell]
O: 0.693 0.737 0.097 [1 per cell]
O: 0.743 0.932 0.249 [1 per cell]
O: 0.751 0.383 0.563 [1 per cell]
O: 0.804 0.577 0.713 [1 per cell]
O: 0.811 0.495 0.120 [1 per cell]
O: 0.820 0.252 0.180 [1 per cell]
O: 0.841 0.303 0.971 [1 per cell]
O: 0.868 0.624 0.499 [1 per cell]
O: 0.869 0.756 0.893 [1 per cell]
O: 0.938 0.915 0.436 [1 per cell]
O: 0.980 0.027 0.734 [1 per cell]
O: 0.988 0.132 0.328 [1 per cell]

***

No. 5
SiO2 | PBE-GGA | relaxed

As for the energy of formation: -3203 meV/atom. The calculation puts the electronic total energy at -565.33 eV for the cell shown.

a = 20.541 Å, b = 7.210 Å, c = 9.852 Å
α = 90.00°, β = 90.00°, γ = 90.00°
Space group Pmna (No. 53)
One atom of each set of equivalent atoms:
Si: 0.074 0.241 0.146 [8 per cell]
Si: 0.131 0.118 0.888 [8 per cell]
Si: 0.188 0.482 0.839 [8 per cell]
O: 0.000 0.292 0.192 [4 per cell]
O: 0.077 0.235 0.979 [8 per cell]
O: 0.094 0.035 0.207 [8 per cell]
O: 0.124 0.396 0.201 [8 per cell]
O: 0.175 0.000 0.000 [4 per cell]
O: 0.175 0.263 0.802 [8 per cell]
O: 0.205 0.500 0.000 [4 per cell]
O: 0.250 0.446 0.250 [4 per cell]

***

No. 6
Ce6Mg23Ge | PBE-GGA | relaxed

As for the energy of formation: -71 meV/atom. The calculation puts the electronic total energy at -316.59 eV for the cell shown.

a = 14.314 Å, b = 14.314 Å, c = 14.314 Å
α = 90.00°, β = 90.00°, γ = 90.00°
Space group Fm-3m (No. 225)
One atom of each set of equivalent atoms:
Ce: 0.000 0.000 0.206 [24 per cell]
Mg: 0.000 0.000 0.500 [4 per cell]
Mg: 0.000 0.250 0.250 [24 per cell]
Mg: 0.122 0.122 0.378 [32 per cell]
Mg: 0.168 0.168 0.168 [32 per cell]
Ge: 0.000 0.000 0.000 [4 per cell]